Record 1
# Ho2Sn3Pb3S12

A relaxed structure of Ho2Sn3Pb3S12 (PBE-GGA, Materials Project).

a = 3.9397 Å, b = 20.4248 Å, c = 11.6524 Å
α = 90.00°, β = 90.00°, γ = 90.00°
With the nearest neighbours (Å) after each atom.
Space group Pmc2_1 (No. 26)
Symmetry-distinct sites (fractional):
Ho (0.0000, 0.0879, 0.0000)  8 S 2.82-3.08
Ho (0.0000, 0.3934, 0.3211)  7 S 2.77-2.84
Sn (0.5000, 0.0717, 0.6518)  5 S 2.45-2.58
Sn (0.5000, 0.2501, 0.1443)  6 S 2.54-2.65
Sn (0.5000, 0.4113, 0.6284)  6 S 2.54-2.63
Pb (0.0000, 0.1212, 0.3736)  8 S 2.91-3.23
Pb (0.0000, 0.2397, 0.7417)  8 S 2.97-3.29
Pb (0.0000, 0.4156, 0.9436)  7 S 2.93-3.27
S (0.0000, 0.0039, 0.7044)  2 Sn 2.48
S (0.0000, 0.2387, 0.9995)  2 Sn 2.60
S (0.0000, 0.2568, 0.2960)  2 Sn 2.65, 1 Ho 2.81, 1 Pb 2.91
S (0.0000, 0.3414, 0.5451)  2 Sn 2.62, 1 Ho 2.82
S (0.0000, 0.4823, 0.7123)  2 Sn 2.63, 1 Ho 2.84
S (0.5000, 0.0086, 0.4615)  1 Sn 2.57, 2 Ho 2.82
S (0.5000, 0.1263, 0.1621)  1 Sn 2.54, 2 Ho 2.84
S (0.5000, 0.1373, 0.8410)  1 Sn 2.58, 2 Ho 2.89
S (0.5000, 0.1754, 0.5461)  1 Sn 2.45
S (0.5000, 0.3417, 0.8093)  1 Sn 2.54
S (0.5000, 0.3754, 0.1564)  1 Sn 2.56, 2 Ho 2.77
S (0.5000, 0.4679, 0.4330)  1 Sn 2.55, 2 Ho 2.81

- Formation enthalpy at 0 K: -1.135 eV/atom
- Total moment: 0.0 μB/f.u.
- Crystal system: orthorhombic


Record 2
# SiMo3

A relaxed structure of SiMo3 (PBE-GGA, Materials Project).

a = 4.9194 Å, b = 4.9194 Å, c = 4.9194 Å
α = 90.00°, β = 90.00°, γ = 90.00°
With the nearest neighbours (Å) after each atom.
Space group Pm-3n (No. 223)
Symmetry-distinct sites (fractional):
Si (0.0000, 0.0000, 0.0000)  12 Mo 2.75
Mo (0.0000, 0.2500, 0.5000)  2 Mo 2.46, 4 Si 2.75

- Formation enthalpy at 0 K: -0.315 eV/atom
- Crystal system: cubic


Record 3
# Sb3Ir

A relaxed structure of Sb3Ir (PBE-GGA, Materials Project).

a = 9.3946 Å, b = 9.3946 Å, c = 9.3946 Å
α = 90.00°, β = 90.00°, γ = 90.00°
With the nearest neighbours (Å) after each atom.
Space group Im-3 (No. 204)
Symmetry-distinct sites (fractional):
Sb (0.0000, 0.3398, 0.1540)  2 Ir 2.65, 1 Sb 2.89
Ir (0.2500, 0.2500, 0.2500)  6 Sb 2.65

- Formation enthalpy at 0 K: -0.345 eV/atom
- Crystal system: cubic


Record 4
# Al3Si3Pb2O16

A relaxed structure of Al3Si3Pb2O16 (PBE-GGA, Materials Project).

a = 12.8568 Å, b = 13.0676 Å, c = 9.1200 Å
α = 90.00°, β = 90.00°, γ = 90.00°
With the nearest neighbours (Å) after each atom.
Space group Ccc2 (No. 37)
Symmetry-distinct sites (fractional):
Al (0.0000, 0.0000, 0.0000)  4 O 1.74-1.78
Al (0.1175, 0.3680, 0.2584)  4 O 1.72-1.80
Si (0.0000, 0.5000, 0.0070)  4 O 1.62-1.66
Si (0.1239, 0.1265, 0.2513)  4 O 1.60-1.68
Pb (0.2480, 0.4224, 0.9384)  4 O 2.29-2.54
O (0.0529, 0.4082, 0.1003)  1 Si 1.62, 1 Al 1.75
O (0.0628, 0.0941, 0.1023)  1 Si 1.63, 1 Al 1.74
O (0.0957, 0.4565, 0.4022)  1 Si 1.66, 1 Al 1.77
O (0.1020, 0.2413, 0.3042)  1 Si 1.60, 1 Al 1.72
O (0.1031, 0.0442, 0.3857)  1 Si 1.65, 1 Al 1.78
O (0.1663, 0.2494, 0.8484)  3 O 2.14-2.15
O (0.2493, 0.1106, 0.2045)  1 Si 1.68, 1 Al 1.80
O (0.2488, 0.3529, 0.7077)  2 O 2.14-2.15, 1 Pb 2.29

- Formation enthalpy at 0 K: -2.356 eV/atom
- Total moment: 7.0 μB/f.u.
- Crystal system: orthorhombic


Record 5
# Tb2C3

A relaxed structure of Tb2C3 (PBE-GGA, Materials Project).

a = 8.2886 Å, b = 8.2886 Å, c = 8.2886 Å
α = 90.00°, β = 90.00°, γ = 90.00°
With the nearest neighbours (Å) after each atom.
Space group I-43d (No. 220)
Symmetry-distinct sites (fractional):
Tb (0.0507, 0.4493, 0.5507)  6 C 2.53-2.64
C (0.0000, 0.2500, 0.7943)  1 C 1.34

- Formation enthalpy at 0 K: -0.255 eV/atom
- Crystal system: cubic


Record 6
# Rb2CeO3

A relaxed structure of Rb2CeO3 (PBE-GGA, Materials Project).

a = 6.4401 Å, b = 11.1208 Å, c = 6.9388 Å
α = 90.00°, β = 108.26°, γ = 90.00°
With the nearest neighbours (Å) after each atom.
Space group C2/m (No. 12)
Symmetry-distinct sites (fractional):
Rb (0.0000, 0.0000, 0.0000)  6 O 2.83-2.84
Rb (0.0000, 0.1570, 0.5000)  2 O 2.75
Rb (0.0000, 0.5000, 0.5000)  2 O 2.73
Ce (0.0000, 0.3330, 0.0000)  6 O 2.31-2.32
O (0.1653, 0.5000, 0.1833)  2 Ce 2.31
O (0.2381, 0.3008, 0.8138)  2 Ce 2.32

- Formation enthalpy at 0 K: -2.708 eV/atom
- Crystal system: monoclinic


Record 7
# CsRbMn2Cl6

A relaxed structure of CsRbMn2Cl6 (PBE-GGA, Materials Project).

a = 14.6675 Å, b = 14.6675 Å, c = 12.1108 Å
α = 90.00°, β = 90.00°, γ = 120.00°
With the nearest neighbours (Å) after each atom.
Space group P6_3/mmc (No. 194)
Symmetry-distinct sites (fractional):
Cs (0.0000, 0.5000, 0.0000)  12 Cl 3.67-3.78
Cs (0.3333, 0.6667, 0.2500)  12 Cl 3.70-3.72
Rb (0.0000, 0.0000, 0.0000)  12 Cl 3.63-3.76
Rb (0.1663, 0.3326, 0.7500)  12 Cl 3.64-3.69
Mn (0.1660, 0.3319, 0.1172)  6 Cl 2.54-2.56
Mn (0.3333, 0.6667, 0.6173)  6 Cl 2.55
Cl (0.0000, 0.2475, 0.0000)  2 Mn 2.54
Cl (0.0871, 0.4088, 0.2500)  2 Mn 2.55
Cl (0.0880, 0.1760, 0.2500)  2 Mn 2.55
Cl (0.1777, 0.5888, 0.7500)  2 Mn 2.55
Cl (0.2493, 0.4986, 0.5016)  2 Mn 2.55-2.56

- Formation enthalpy at 0 K: -1.841 eV/atom
- Crystal system: hexagonal


Record 8
# Ca4CrN4

A relaxed structure of Ca4CrN4 (PBE-GGA, Materials Project).

a = 11.2039 Å, b = 4.9363 Å, c = 10.9802 Å
α = 90.00°, β = 90.00°, γ = 90.00°
With the nearest neighbours (Å) after each atom.
Space group Pnma (No. 62)
Symmetry-distinct sites (fractional):
Ca (0.0578, 0.2500, 0.1116)  5 N 2.40-2.55
Ca (0.0922, 0.7500, 0.3142)  4 N 2.45-2.55
Ca (0.1275, 0.7500, 0.6590)  3 N 2.28-2.54
Ca (0.2260, 0.2500, 0.4736)  4 N 2.31-2.54
Cr (0.1327, 0.2500, 0.8508)  3 N 1.70-1.76
N (0.0133, 0.7500, 0.1061)  1 Cr 1.70
N (0.0757, 0.2500, 0.3291)  5 Ca 2.28-2.48
N (0.1663, 0.2500, 0.6972)  1 Cr 1.73
N (0.2380, 0.2500, 0.9693)  1 Cr 1.76

- Excess energy over the best structure of this formula in the dataset: 0.0 meV/atom
- Formation enthalpy at 0 K: -1.048 eV/atom
- Crystal system: orthorhombic


Record 9
# Np2Si3

A relaxed structure of Np2Si3 (PBE-GGA, Materials Project).

a = 4.2219 Å, b = 4.2219 Å, c = 6.4104 Å
α = 90.00°, β = 90.00°, γ = 120.00°
With the nearest neighbours (Å) after each atom.
Space group P-6m2 (No. 187)
Symmetry-distinct sites (fractional):
Np (0.0000, 0.0000, 0.2267)  9 Si 2.84-3.00, 1 Np 2.91
Si (0.3333, 0.6667, 0.5000)  3 Si 2.44
Si (0.6667, 0.3333, 0.0000)  6 Np 2.84
Si (0.6667, 0.3333, 0.5000)  3 Si 2.44

- Formation enthalpy at 0 K: 0.019 eV/atom
- Total moment: 6.7 μB/f.u.
- Crystal system: hexagonal


Record 10
# SmAlF5

A relaxed structure of SmAlF5 (PBE-GGA, Materials Project).

a = 9.0917 Å, b = 9.7674 Å, c = 9.8741 Å
α = 70.66°, β = 85.21°, γ = 76.24°
With the nearest neighbours (Å) after each atom.
Space group P1 (No. 1)
Symmetry-distinct sites (fractional):
Sm (0.0000, 0.0000, 0.0000)  7 F 2.27-2.54
Sm (0.0057, 0.4355, 0.5856)  8 F 2.27-2.53
Sm (0.3223, 0.4634, 0.9220)  7 F 2.32-2.57
Sm (0.3670, 0.3542, 0.3105)  3 F 2.22-2.45
Sm (0.3897, 0.8762, 0.5764)  5 F 2.20-2.38
Sm (0.4412, 0.9375, 0.1200)  6 F 2.22-2.37
Sm (0.9036, 0.1099, 0.3981)  5 F 2.25-2.42
Sm (0.9822, 0.5242, 0.1381)  6 F 2.30-2.41
Al (0.0395, 0.7717, 0.7268)  6 F 1.80-1.88
Al (0.1522, 0.2142, 0.1565)  2 F 2.91-3.22, 2 Sm 3.01-3.23
Al (0.2999, 0.1928, 0.7432)  6 F 1.77-1.94
Al (0.6324, 0.5191, 0.7131)  6 F 1.76-1.96
Al (0.6600, 0.5709, 0.3875)  5 F 1.79-1.98
Al (0.6689, 0.3248, 0.0845)  6 F 1.78-1.90
Al (0.6766, 0.0063, 0.7501)  6 F 1.79-1.92
Al (0.8190, 0.8044, 0.3235)  3 F 1.80-1.84
F (0.0307, 0.6628, 0.6112)  1 Al 1.82
F (0.0530, 0.6023, 0.8893)  1 Al 1.87
F (0.0711, 0.8774, 0.8360)  1 Al 1.80
F (0.0758, 0.9240, 0.5616)  1 Al 1.88
F (0.0876, 0.1937, 0.7871)  1 Al 1.94
F (0.1104, 0.4951, 0.3535)  3 Sm 2.35-2.49, 2 F 2.50-2.56
F (0.2157, 0.3875, 0.7574)  1 Al 1.92
F (0.2351, 0.5628, 0.1048)  3 Sm 2.32-2.49, 2 F 2.45-2.56
F (0.2447, 0.8778, 0.0526)  2 Sm 2.22-2.27
F (0.2510, 0.7042, 0.7282)  1 Al 1.88
F (0.2648, 0.3009, 0.5555)  1 Al 1.82
F (0.3029, 0.0204, 0.7189)  1 Al 1.77
F (0.3445, 0.1447, 0.9269)  1 Al 1.77
F (0.3664, 0.8671, 0.3550)  2 Sm 2.25-2.29
F (0.3964, 0.1108, 0.4170)  2 Sm 2.22-2.32
F (0.4630, 0.4631, 0.7075)  1 Al 1.76
F (0.4997, 0.2400, 0.0943)  1 Al 1.90
F (0.5038, 0.1706, 0.7131)  2 Al 1.83-1.92
F (0.5081, 0.4746, 0.4051)  1 Al 1.81
F (0.5107, 0.4789, 0.0916)  1 Al 1.83
F (0.5345, 0.6653, 0.7778)  1 Al 1.77
F (0.5743, 0.6693, 0.5253)  2 Al 1.93-1.96
F (0.5746, 0.6941, 0.2215)  1 Al 1.79
F (0.5849, 0.9329, 0.6447)  1 Al 1.79
F (0.5873, 0.9148, 0.9152)  1 Al 1.81
F (0.6469, 0.3754, 0.8909)  2 Al 1.82-1.84
F (0.6655, 0.2539, 0.2818)  1 Al 1.84
F (0.6732, 0.9335, 0.2036)  1 Al 1.80
F (0.7308, 0.4274, 0.5767)  2 Al 1.91-1.98
F (0.7534, 0.1188, 0.5894)  1 Al 1.80
F (0.7827, 0.9141, 0.4427)  1 Al 1.80
F (0.7875, 0.0665, 0.8540)  1 Al 1.81
F (0.7998, 0.4425, 0.0583)  1 Al 1.79
F (0.8043, 0.4499, 0.3188)  1 Al 1.80
F (0.8131, 0.1655, 0.0858)  1 Al 1.78
F (0.8227, 0.5249, 0.7348)  1 Al 1.78
F (0.8404, 0.8408, 0.7487)  2 Al 1.80-1.92
F (0.9190, 0.7770, 0.0936)  2 Sm 2.30-2.34, 1 Al 2.45, 1 F 2.49
F (0.9734, 0.9027, 0.2593)  1 Al 1.84
F (0.9955, 0.2424, 0.5096)  2 Sm 2.27-2.28

- Excess energy over the best structure of this formula in the dataset: 0.0 meV/atom
- Formation enthalpy at 0 K: -3.807 eV/atom
- Total moment: 0.2 μB/f.u.
- Crystal system: triclinic


Record 11
# DyIn7Cu5

A relaxed structure of DyIn7Cu5 (PBE-GGA, Materials Project).

a = 5.4907 Å, b = 9.4601 Å, c = 9.5281 Å
α = 90.00°, β = 90.00°, γ = 90.00°
With the nearest neighbours (Å) after each atom.
Space group Imm2 (No. 44)
Symmetry-distinct sites (fractional):
Dy (0.0000, 0.0000, 0.0000)  10 In 3.18-3.47, 2 Cu 3.49
In (0.0000, 0.0000, 0.3340)  6 Cu 2.80-2.93, 1 In 3.08
In (0.0000, 0.0000, 0.6573)  4 Cu 2.92, 5 In 2.98-3.19, 1 Dy 3.27
In (0.0000, 0.3038, 0.5125)  5 Cu 2.70-2.90, 1 In 2.90
In (0.0000, 0.3413, 0.9866)  5 Cu 2.76-3.01, 3 In 3.00-3.08
In (0.0000, 0.5000, 0.2780)  4 Cu 2.79, 4 In 2.90-2.98
Cu (0.0000, 0.5000, 0.7260)  4 Cu 2.71, 6 In 2.75-2.93
Cu (0.2484, 0.2447, 0.2508)  7 In 2.70-3.01, 3 Cu 2.71-2.76

- Formation enthalpy at 0 K: -0.067 eV/atom
- Total moment: 0.0 μB/f.u.
- Crystal system: orthorhombic